## a
A plane-wave DFT calculation with GGA-PBE was carried out for crystalline SnCl3O4 at its relaxed geometry.

The structure in extended XYZ format:
```
32
Lattice="6.3650 0.0000 0.0000 0.0000 9.7060 0.0000 0.0000 8.5253 13.6441" Properties=species:S:1:pos:R:3 pbc="T T T"
Sn 3.3134 12.1865 6.5788
Sn 6.2341 16.4491 13.4008
Sn 3.0516 6.0448 7.0653
Sn 0.1309 1.7822 0.2433
Cl 2.4087 11.8851 4.4477
Cl 0.7738 16.1477 11.2697
Cl 3.9563 6.3462 9.1964
Cl 5.5912 2.0835 2.3743
Cl 5.4881 11.2912 6.6211
Cl 4.0593 15.5538 13.4431
Cl 0.8768 6.9401 7.0230
Cl 2.3056 2.6775 0.2010
Cl 2.2899 10.5899 7.9962
Cl 0.8926 6.3273 1.1742
Cl 4.0751 7.6414 5.6478
Cl 5.4724 11.9040 12.4699
O 4.2148 4.4152 6.4083
O 5.3327 8.6778 13.2303
O 2.1502 13.8161 7.2358
O 1.0323 9.5535 0.4138
O 3.4786 12.8880 9.6024
O 6.0689 8.6254 2.7804
O 2.8864 5.3433 4.0416
O 0.2961 9.6059 10.8637
O 5.0753 5.0819 4.0875
O 4.4722 9.3445 10.9095
O 1.2897 13.1494 9.5566
O 1.8928 8.8867 2.7345
O 3.9899 5.1985 3.4060
O 5.5576 9.4611 10.2280
O 2.3751 13.0328 10.2381
O 0.8074 8.7701 3.4160
```

## b
A plane-wave DFT calculation with GGA-PBE was carried out for crystalline SnCl3O4 at its relaxed geometry.

The structure in extended XYZ format:
```
32
Lattice="6.6532 0.0000 0.0000 0.0000 10.0848 0.0000 0.0000 9.1642 12.8309" Properties=species:S:1:pos:R:3 pbc="T T T"
Sn 3.5818 12.9657 6.3532
Sn 6.3980 17.5478 12.7687
Sn 3.0714 6.2833 6.4777
Sn 0.2552 1.7012 0.0622
Cl 2.5516 12.5602 4.2902
Cl 0.7751 17.1423 10.7057
Cl 4.1017 6.6888 8.5407
Cl 5.8782 2.1067 2.1252
Cl 5.7096 11.7811 6.2059
Cl 4.2702 16.3633 12.6213
Cl 0.9436 7.4679 6.6250
Cl 2.3830 2.8858 0.2096
Cl 2.5701 11.2323 7.7806
Cl 0.7565 6.6502 1.3652
Cl 4.0831 8.0167 5.0503
Cl 5.8967 12.5988 11.4657
O 4.4617 4.7626 5.8848
O 5.5182 9.3447 12.3002
O 2.1916 14.4865 6.9461
O 1.1350 9.9044 0.5307
O 4.4601 12.8102 8.2574
O 5.5198 8.2281 1.8420
O 2.1931 6.4389 4.5734
O 1.1335 11.0210 10.9889
O 5.3436 4.8092 4.3244
O 4.6362 9.3913 10.7398
O 1.3096 14.4399 8.5065
O 2.0170 9.8578 2.0911
O 4.7022 5.1951 3.3633
O 5.2777 9.7772 9.7787
O 1.9511 14.0540 9.4676
O 1.3755 9.4719 3.0522
```

The energy of each structure relative to the most stable one, in meV/atom, is as follows: a 28; b 0.

## a
A plane-wave DFT calculation with GGA-PBE was carried out for crystalline SnPCl9 at its relaxed geometry.

The structure in extended XYZ format:
```
22
Lattice="7.4163 0.0000 0.0000 -0.8424 9.3215 0.0000 -1.1457 -2.0375 9.7250" Properties=species:S:1:pos:R:3 pbc="T T T"
Sn 3.2134 4.5735 6.5991
Sn 2.2146 2.7104 3.1259
P -0.6870 0.2192 7.5679
P 6.1151 7.0648 2.1571
Cl 2.0553 4.9115 2.1172
Cl 3.3728 2.3725 7.6078
Cl 2.4765 0.6112 4.2992
Cl 2.9515 6.6727 5.4258
Cl -0.0133 2.1315 2.3724
Cl 5.4414 5.1525 7.3526
Cl 3.5148 1.8735 1.2455
Cl 1.9132 5.4104 8.4795
Cl 1.1002 3.7170 5.3333
Cl 4.3279 3.5670 4.3917
Cl 5.6170 5.4714 1.1512
Cl -0.1889 1.8125 8.5738
Cl 6.1708 0.7131 5.7631
Cl -0.7427 6.5709 3.9619
Cl 0.8532 -0.9907 7.4758
Cl 4.5749 8.2747 2.2491
Cl 5.2528 -0.6978 8.4714
Cl 0.1753 7.9818 1.2536
```

## b
A plane-wave DFT calculation with GGA-PBE was carried out for crystalline SnPCl9 at its relaxed geometry.

The structure in extended XYZ format:
```
22
Lattice="-0.8635 3.2800 10.0192 -8.9089 2.7477 -4.9970 -2.7733 -5.9089 1.6954" Properties=species:S:1:pos:R:3 pbc="T T T"
Sn -5.3503 -2.1272 7.7784
Sn -7.1955 2.2460 -1.0608
P -3.8298 -1.4475 2.1033
P -8.7160 1.5663 4.6144
Cl -6.5153 -0.1373 8.3321
Cl -9.6592 3.0707 3.7878
Cl -2.8866 -2.9519 2.9298
Cl -5.7090 -1.9373 1.8489
Cl -8.8362 -0.0084 3.4561
Cl -8.3483 2.1926 -3.2400
Cl -6.8368 2.0562 4.8687
Cl -9.5317 1.1469 6.3448
Cl -3.0140 -1.0280 0.3728
Cl -9.2859 2.2642 0.0586
Cl -6.0304 0.2562 -1.6145
Cl -3.7095 0.1272 3.2616
Cl -8.9883 -1.5737 0.0352
Cl -6.0205 2.3466 1.1048
Cl -3.2598 -2.1454 6.6590
Cl -6.5253 -2.2278 5.6128
Cl -3.5575 1.6926 6.6825
Cl -4.1974 -2.0738 9.9576
```

The energy of each structure relative to the most stable one, in meV/atom, is as follows: a 5; b 0.

## a
A plane-wave DFT calculation with GGA-PBE was carried out for crystalline ReSe2Cl12 at its relaxed geometry.

The structure in extended XYZ format:
```
30
Lattice="-10.2003 0.2793 7.6018 -11.7425 4.2904 -0.1492 -5.5396 -6.7176 -1.6523" Properties=species:S:1:pos:R:3 pbc="T T T"
Re -23.3837 0.3532 5.8846
Re -16.4957 0.8478 4.4838
Se -11.8504 -0.0767 5.1405
Se -15.6830 -2.0043 0.6373
Se -8.7493 -1.4056 -0.6495
Se -10.6378 -6.2964 1.9792
Cl -6.9363 -2.5780 0.0190
Cl -17.3139 1.2126 6.6169
Cl -15.7988 0.5057 2.2435
Cl -15.1864 2.8015 4.5416
Cl -17.9803 -2.1227 0.7163
Cl -13.4199 2.0309 -0.3867
Cl -14.7627 -0.5271 5.3083
Cl -11.8785 -2.6955 4.1030
Cl -15.2711 -3.0984 2.5257
Cl -18.3114 2.2014 3.6555
Cl -9.4809 -0.9614 1.3976
Cl -17.5844 -5.0384 4.8239
Cl -9.6648 -0.0776 5.1129
Cl -14.0206 -4.2703 6.2019
Cl -9.2052 -4.6819 2.3489
Cl -4.4194 -0.1280 1.5586
Cl -23.2998 -1.6132 4.5583
Cl -9.9183 2.9572 1.0105
Cl -12.3305 -5.0872 1.2678
Cl -21.0732 0.6308 5.8362
Cl -17.9755 -1.0800 4.3177
Cl -9.9896 -3.1990 -1.1175
Cl -12.1638 0.8699 3.1629
Cl -13.0100 -1.2398 0.2850
```

## b
A plane-wave DFT calculation with GGA-PBE was carried out for crystalline ReSe2Cl12 at its relaxed geometry.

The structure in extended XYZ format:
```
30
Lattice="0.0000 6.4861 10.9472 6.0394 0.0000 10.9472 6.0394 6.4861 0.0000" Properties=species:S:1:pos:R:3 pbc="T T T"
Re 6.0394 6.4861 20.1450
Re 3.0197 3.2431 3.7243
Se 5.9409 3.5912 11.0026
Se 6.1380 9.3810 11.0026
Se 8.9606 12.6241 16.4762
Se 9.1577 6.8342 16.4762
Cl 7.6973 11.9230 14.8187
Cl 1.6799 2.2510 5.4226
Cl 4.4320 4.2207 2.0936
Cl 7.7239 5.1983 14.7008
Cl 7.4305 8.6025 12.6296
Cl 10.7391 7.4781 10.8962
Cl 1.6074 2.2654 2.0936
Cl 7.3747 8.4413 20.1744
Cl 4.6222 7.7896 10.8893
Cl 4.3595 4.2351 5.4226
Cl 7.6681 5.3594 7.1560
Cl 4.6484 4.3698 12.6296
Cl 4.6775 4.2923 9.3451
Cl 1.3398 5.4941 10.8962
Cl 7.6419 8.4257 16.3629
Cl 10.4210 7.5354 14.8187
Cl 1.4123 5.5085 7.5672
Cl 7.4013 8.6799 9.3451
Cl 4.4108 7.6128 7.1560
Cl 4.6271 0.9776 7.5672
Cl 4.3550 7.7739 14.7008
Cl 10.4764 11.0326 16.3629
Cl 7.4567 5.1826 10.8893
Cl 10.7436 11.0170 20.1744
```

The energy of each structure relative to the most stable one, in meV/atom, is as follows: a 9; b 0.

## a
A plane-wave DFT calculation with GGA-PBE was carried out for crystalline RhSCl5 at its relaxed geometry.

The structure in extended XYZ format:
```
84
Lattice="-10.9793 -2.6002 8.1297 -5.7240 -1.4991 12.5851 -13.5468 21.4119 10.6868" Properties=species:S:1:pos:R:3 pbc="T T T"
Rh -27.8296 16.3761 28.2784
Rh -9.4513 7.9983 7.8229
Rh -14.9277 18.9760 14.2659
Rh -15.4244 17.2356 17.3532
Rh -20.7870 9.3416 23.6374
Rh -9.6914 11.5430 8.1144
Rh -2.4718 0.9305 3.1494
Rh -15.3869 -1.6521 17.1297
Rh -18.3346 11.4731 22.2418
Rh -11.9405 5.8403 9.2209
Rh -20.5756 5.7708 23.3425
Rh -14.8813 0.0715 14.0835
S -24.1788 16.7154 20.9968
S -14.1432 6.6930 18.4191
S -14.3360 1.9023 15.3195
S -16.1329 10.6200 13.0220
S -6.1059 0.5958 10.4370
S -20.7060 16.7816 17.0728
S -15.9521 15.4210 16.1176
S -9.5864 0.5366 14.3880
S -20.0322 12.8340 21.5762
S -10.2495 4.4907 9.8663
S -10.8518 6.7212 14.3414
S -19.4509 10.5949 17.1108
Cl -10.8354 11.3803 10.2345
Cl -7.6683 -0.1940 9.4300
Cl -23.3569 14.9184 20.5234
Cl -15.5414 6.9072 16.9511
Cl -13.4951 9.1323 11.5955
Cl -14.7661 10.4440 14.4984
Cl -14.6938 0.3354 18.1856
Cl -16.9466 12.4243 13.5119
Cl -4.7351 -1.1575 7.9363
Cl -20.7972 17.6153 18.9239
Cl -17.4568 10.1461 16.8584
Cl -13.6220 12.5603 11.7479
Cl -5.6796 2.0992 7.3956
Cl -17.1789 11.5484 20.1508
Cl -4.3185 0.6206 4.6736
Cl -16.7187 14.0524 17.4528
Cl -10.6675 5.0609 15.4967
Cl -11.5899 -1.3638 9.8850
Cl -16.3653 20.2187 12.8571
Cl -7.8716 6.4685 8.6647
Cl -19.4227 5.9480 21.2231
Cl -11.1053 3.1034 11.1260
Cl -22.6293 17.5473 22.0279
Cl -13.3713 4.8855 17.9034
Cl -20.5034 14.0747 23.1302
Cl -13.0879 5.7769 11.2913
Cl -13.0433 0.2897 12.5710
Cl -12.8184 7.1619 14.6024
Cl -15.5865 16.9772 13.2099
Cl -16.6063 4.7493 19.7074
Cl -19.1608 14.2160 20.2995
Cl -13.4822 -1.2189 15.6373
Cl -15.8804 7.1127 12.8511
Cl -11.2590 14.6740 10.5055
Cl -8.1980 9.8048 8.6954
Cl -18.6885 18.6496 21.5563
Cl -17.2465 17.0308 18.8516
Cl -8.8491 2.3804 13.9868
Cl -14.2480 14.4597 15.5674
Cl -19.7109 9.6012 21.4426
Cl -6.8966 2.4049 10.9465
Cl -25.5604 18.4463 23.5200
Cl -16.0624 2.8800 15.8093
Cl -22.3686 10.8525 22.7648
Cl -25.9882 16.6975 26.7428
Cl -16.7827 18.5292 15.8072
Cl -24.9913 13.4891 26.9409
Cl -22.0913 7.5252 22.7562
Cl -16.7959 8.1575 19.8647
Cl -14.3978 10.1731 18.5904
Cl -21.4475 14.9274 17.4433
Cl -9.5055 -0.3131 12.5137
Cl -10.5780 7.7041 9.9816
Cl -13.5538 3.2657 13.9672
Cl -19.6026 12.2524 15.9559
Cl -18.9847 2.6224 20.9474
Cl -9.7211 3.2830 8.3194
Cl -24.6244 15.1945 23.9955
Cl -5.3052 3.7963 4.4673
Cl -13.9318 -2.8903 18.5879
```

## b
A plane-wave DFT calculation with GGA-PBE was carried out for crystalline RhSCl5 at its relaxed geometry.

The structure in extended XYZ format:
```
84
Lattice="-7.5049 -1.5450 11.7103 -7.3902 -7.9922 8.7949 12.6918 -9.8795 22.3477" Properties=species:S:1:pos:R:3 pbc="T T T"
Rh -1.3409 -17.4257 39.3234
Rh 2.4665 -5.0729 13.5056
Rh 8.8416 -11.6565 23.9361
Rh 5.9755 -13.5432 24.8671
Rh -4.6697 -14.3438 29.3474
Rh 5.4724 -6.3005 14.9885
Rh -0.8623 -1.9911 3.5296
Rh -11.0449 -7.7603 18.9168
Rh -1.7618 -14.8056 27.3545
Rh -0.4415 -4.6111 15.4985
Rh -7.6756 -13.1163 27.8645
Rh -8.1787 -5.8736 17.9859
S 2.5143 -12.8034 33.7822
S -3.7599 -11.8938 20.7859
S -6.8887 -7.6220 18.4324
S 1.5567 -7.5230 22.0671
S -4.7175 -6.6134 9.0708
S 4.7615 -10.8677 29.3737
S 4.6855 -11.7948 24.4205
S -6.9648 -8.5491 13.4793
S -0.5181 -13.9487 28.9791
S -1.6851 -5.4681 13.8738
S -1.5156 -9.7958 16.4508
S -0.6877 -9.6210 26.4021
Cl 4.3288 -7.5766 16.5821
Cl -5.2303 -4.7934 9.8270
Cl 1.2289 -12.1861 32.3296
Cl -3.3112 -10.1098 21.6594
Cl 1.2942 -6.9344 18.7113
Cl 1.1080 -9.3070 21.1935
Cl -9.5028 -9.4782 19.2305
Cl 2.8425 -8.1680 23.5071
Cl -5.0073 -4.4907 6.4088
Cl 4.7734 -12.6733 30.3216
Cl -0.6589 -10.1016 24.4205
Cl 4.3054 -8.0432 19.9559
Cl -2.0138 -4.6041 8.1035
Cl -0.6084 -13.5344 25.5823
Cl -2.0217 -2.3788 5.5249
Cl 2.8455 -12.1216 25.0646
Cl -3.4419 -10.3361 16.1859
Cl -7.1775 -3.1626 13.1873
Cl 10.2933 -10.1793 25.1357
Cl 1.0337 -5.9924 11.8934
Cl -6.5320 -11.8402 26.2709
Cl -3.5251 -5.7902 14.5200
Cl 3.0271 -14.6233 33.0260
Cl -5.0457 -11.2487 19.3459
Cl -0.1010 -15.4250 30.3107
Cl -1.5949 -5.8823 17.2707
Cl -7.0120 -5.3483 15.8764
Cl -1.5443 -9.3152 18.4325
Cl 7.3609 -9.8818 23.5423
Cl -6.4543 -11.3446 22.8127
Cl 1.3786 -13.5952 28.2415
Cl -9.6776 -7.3155 16.8198
Cl -1.4582 -6.4534 20.6899
Cl 7.1078 -8.6105 18.1025
Cl 3.9771 -6.9055 13.2085
Cl 4.9742 -16.2542 29.6657
Cl 4.8088 -14.0685 26.9766
Cl -5.0199 -9.0477 13.2744
Cl 4.3730 -11.6960 22.3670
Cl -3.3181 -13.0229 27.6465
Cl -3.3552 -7.1960 10.4491
Cl 2.8040 -14.9261 36.4442
Cl -6.4976 -7.6348 20.4257
Cl -3.1750 -13.3999 30.8648
Cl -0.1816 -17.0380 37.3281
Cl 7.4744 -12.1013 26.0332
Cl -2.9148 -16.5983 35.4402
Cl -6.1803 -12.5113 29.6445
Cl -3.4974 -12.4823 24.1416
Cl -0.7451 -12.9634 22.1631
Cl 2.8167 -10.3691 29.5786
Cl -6.9767 -6.7434 12.5314
Cl 1.1148 -6.3939 15.2064
Cl -5.0488 -7.2952 17.7884
Cl 1.2387 -9.0806 26.6671
Cl -9.2761 -10.7939 24.6573
Cl -2.0219 -4.0010 12.4390
Cl -0.1895 -14.8127 34.7495
Cl 0.7456 -2.7556 7.3425
Cl -12.4966 -9.2375 17.7173
```

The energy of each structure relative to the most stable one, in meV/atom, is as follows: a 0; b 6.

## a
A plane-wave DFT calculation with GGA-PBE was carried out for crystalline SbSCl9 at its relaxed geometry.

The structure in extended XYZ format:
```
22
Lattice="-3.1353 5.9866 6.0737 -9.0225 -0.8613 -0.6421 -2.1470 -5.1717 7.1556" Properties=species:S:1:pos:R:3 pbc="T T T"
Sb -7.1524 -0.0232 6.2936
Sb 0.0000 0.0000 0.0000
S -10.1143 -0.0328 8.8999
S -4.1905 -0.0136 3.6873
Cl -1.9046 -3.6007 5.3411
Cl -12.4002 3.5543 7.2461
Cl -7.6151 0.5544 12.6731
Cl -2.5923 4.1652 4.5881
Cl -6.6897 -0.6008 -0.0859
Cl -11.7124 -4.2116 7.9991
Cl -8.6988 -1.8488 6.6480
Cl -7.3932 -0.2766 3.9003
Cl -5.6059 1.8024 5.9392
Cl -6.9115 0.2302 8.6869
Cl -5.3059 -1.5852 6.2677
Cl -8.9989 1.5388 6.3195
Cl -4.0045 -1.6820 2.6011
Cl -11.9388 -0.2703 8.1170
Cl -10.3003 1.6356 9.9861
Cl -2.3660 0.2239 4.4702
Cl -4.2795 1.4236 2.3000
Cl -10.0252 -1.4700 10.2872
```

## b
A plane-wave DFT calculation with GGA-PBE was carried out for crystalline SbSCl9 at its relaxed geometry.

The structure in extended XYZ format:
```
22
Lattice="-2.6058 -6.5863 -3.1401 4.8450 -3.9220 -4.6014 5.3219 -10.4214 8.1340" Properties=species:S:1:pos:R:3 pbc="T T T"
Sb 0.0000 0.0000 0.0000
Sb 3.7806 -10.4649 0.1963
S 5.7221 -16.3797 -0.6884
S 1.8391 -4.5501 1.0809
Cl 3.0134 -3.9571 -0.4318
Cl 4.7171 -8.4769 -0.8133
Cl 6.0085 -11.3213 0.5852
Cl 0.1273 -4.9891 0.1343
Cl 1.5526 -9.6085 -0.1927
Cl 3.7602 -11.5817 -1.9435
Cl 2.5795 -6.3503 1.5740
Cl 7.4338 -15.9406 0.2582
Cl -0.3992 -5.7973 -3.5729
Cl 2.8441 -12.4529 1.2059
Cl 4.5477 -16.9727 0.8243
Cl 4.9816 -14.5795 -1.1815
Cl 1.9995 -8.8633 -5.9644
Cl 3.1189 -12.0665 -6.0972
Cl 3.8009 -9.3481 2.3360
Cl 5.5616 -12.0665 6.3569
Cl 2.6384 -4.7111 -4.1686
Cl 4.4422 -8.8633 6.4897
```

The energy of each structure relative to the most stable one, in meV/atom, is as follows: a 12; b 0.